Record 1
## Li2Fe3CoO8 (PBE+U)

Data for Li2Fe3CoO8 after structural relaxation.

ΔE to the lowest computed polymorph = 0.088 eV per atom
total moment = 1.071 μB per atom
E (MP2020) = -6.982 eV/atom
theoretical density = 4.1 g/cm3
E_tot = -335.37 eV for the cell shown
formation enthalpy at 0 K = -1.5589 eV per atom

Cell: 8.3671 8.3984 8.4474 Å, 90.16 90.13 90.09°
Last column: nearest neighbours and their distance in Å.
Space group P1 (No. 1)
Inequivalent atoms, fractional coordinates:
1 Li 0.0000 0.0000 0.0000  4 O 1.97-2.00
2 Li 0.0009 0.4983 0.5008  4 O 1.97-1.98
3 Li 0.1260 0.1250 0.6272  6 O 2.08-2.16
4 Li 0.3721 0.8728 0.1289  6 O 2.10-2.16
5 Li 0.4997 0.0001 0.5009  4 O 1.96-1.99
6 Li 0.5018 0.4982 0.0022  4 O 1.99-2.00
7 Li 0.6295 0.3718 0.3759  6 O 2.08-2.21
8 Li 0.8730 0.6222 0.8731  6 O 2.11-2.17
9 Fe 0.1253 0.3717 0.8693  6 O 1.90-2.12
10 Fe 0.1274 0.6292 0.1260  6 O 1.92-2.09
11 Fe 0.1306 0.8734 0.3748  6 O 1.86-2.02
12 Fe 0.3670 0.1213 0.8720  6 O 1.91-2.08
13 Fe 0.3729 0.3664 0.6272  6 O 1.89-2.05
14 Fe 0.3744 0.6272 0.3702  6 O 1.88-2.10
15 Fe 0.6259 0.1225 0.1324  6 O 1.89-2.05
16 Fe 0.6264 0.8673 0.8761  6 O 1.92-2.07
17 Fe 0.6310 0.6235 0.6266  6 O 1.90-2.06
18 Fe 0.8711 0.3714 0.1296  6 O 1.88-2.04
19 Fe 0.8741 0.1309 0.3771  6 O 1.91-2.08
20 Fe 0.8746 0.8719 0.6313  6 O 1.91-2.07
21 Co 0.2494 0.7462 0.7492  4 O 1.95-2.01
22 Co 0.2549 0.2466 0.2519  4 O 1.84-1.98
23 Co 0.7493 0.2477 0.7528  4 O 1.95-2.02
24 Co 0.7501 0.7465 0.2521  4 O 1.95-2.00
25 O 0.1115 0.8715 0.6099  1 Co 1.96, 2 Fe 1.99, 1 Li 2.14
26 O 0.1143 0.1129 0.3725  1 Co 1.92, 2 Fe 2.02
27 O 0.1143 0.3802 0.1194  1 Co 1.98, 3 Fe 2.04-2.12
28 O 0.1205 0.8565 0.1454  2 Fe 1.92-1.94, 2 Li 2.00-2.11
29 O 0.1290 0.6071 0.8922  1 Co 1.96, 2 Fe 1.98-1.99, 1 Li 2.15
30 O 0.1374 0.6337 0.3653  1 Li 1.98, 3 Fe 1.98-2.02
31 O 0.1401 0.1411 0.8724  2 Fe 1.91-1.94, 2 Li 1.99-2.08
32 O 0.1400 0.3758 0.6444  2 Fe 1.90-1.96, 2 Li 1.97-2.11
33 O 0.3533 0.8638 0.3770  2 Fe 1.86-2.00, 1 Li 1.97
34 O 0.3623 0.3614 0.8676  3 Fe 1.98-2.03, 1 Li 1.99
35 O 0.3630 0.6242 0.1477  2 Fe 1.88-1.98, 2 Li 2.00-2.10
36 O 0.3655 0.3781 0.3875  1 Co 1.84, 1 Fe 2.03
37 O 0.3790 0.1418 0.6409  2 Fe 1.89-1.96, 1 Li 1.96
38 O 0.3817 0.1292 0.1182  1 Co 1.84, 1 Fe 2.05
39 O 0.3852 0.8877 0.8748  1 Co 1.95, 2 Fe 1.97-2.03, 1 Li 2.15
40 O 0.3863 0.6091 0.6082  1 Co 2.01, 3 Fe 2.02-2.06
41 O 0.6083 0.6249 0.3905  1 Co 1.96, 2 Fe 1.96-2.00, 1 Li 2.14
42 O 0.6101 0.1123 0.8931  1 Co 2.02, 3 Fe 2.03-2.07
43 O 0.6121 0.3889 0.6275  1 Co 1.96, 2 Fe 1.98-2.01, 1 Li 2.14
44 O 0.6226 0.6399 0.8551  2 Fe 1.92-1.94, 2 Li 2.00-2.11
45 O 0.6287 0.8858 0.1119  1 Co 1.95, 2 Fe 1.99-2.00, 1 Li 2.15
46 O 0.6335 0.8603 0.6349  1 Li 1.98, 3 Fe 1.99-2.04
47 O 0.6414 0.1206 0.3553  2 Fe 1.89-1.96, 1 Li 1.99
48 O 0.6464 0.3568 0.1264  2 Fe 1.88-1.98, 1 Li 2.00
49 O 0.8570 0.6381 0.6233  2 Fe 1.90-1.97, 2 Li 1.98-2.12
50 O 0.8594 0.8751 0.8571  2 Fe 1.91-1.96, 2 Li 1.98-2.13
51 O 0.8672 0.1378 0.1359  3 Fe 1.96-2.04, 1 Li 1.97
52 O 0.8704 0.1103 0.6106  1 Co 1.95, 2 Fe 1.98-2.01, 1 Li 2.15
53 O 0.8773 0.3579 0.3597  2 Fe 1.91-1.95, 2 Li 1.97-2.08
54 O 0.8850 0.6022 0.1295  2 Fe 1.94-2.04, 1 Co 1.95
55 O 0.8912 0.8841 0.3870  1 Co 2.00, 3 Fe 2.01-2.08
56 O 0.8926 0.3685 0.8920  2 Fe 1.96-2.02, 1 Co 1.96, 1 Li 2.14

Record 2
## V2BP3O12 (PBE+U)

Data for V2BP3O12 after structural relaxation.

total moment = 0.000 μB per atom
E (MP2020) = -8.245 eV/atom
theoretical density = 3.0 g/cm3
E_tot = -820.63 eV for the cell shown
formation enthalpy at 0 K = -2.6641 eV per atom

Cell: 14.1568 14.1568 7.6271 Å, 90.00 90.00 120.00°
Last column: nearest neighbours and their distance in Å.
Space group P6_3/m (No. 176)
Inequivalent atoms, fractional coordinates:
1 V 0.0250 0.3446 0.0546  6 O 1.96-2.13
2 B 0.0000 0.0000 0.2500  3 O 1.36
3 B 0.3333 0.6667 0.2500  3 O 1.37
4 B 0.3333 0.6667 0.7500  3 O 1.38
5 P 0.0748 0.8536 0.2500  4 O 1.51-1.60
6 P 0.1063 0.5898 0.2500  4 O 1.52-1.59
7 P 0.2215 0.4447 0.7500  4 O 1.52-1.61
8 O 0.0230 0.7936 0.0812  1 P 1.51
9 O 0.0335 0.1086 0.2500  1 B 1.36
10 O 0.0690 0.6171 0.0803  1 P 1.52
11 O 0.0736 0.4677 0.2500  1 P 1.55
12 O 0.0976 0.7301 0.7500  1 P 1.55
13 O 0.1030 0.3041 0.2500  1 P 1.57
14 O 0.1593 0.4341 0.5820  1 P 1.52
15 O 0.2358 0.6651 0.2500  1 B 1.37
16 O 0.2399 0.6739 0.7500  1 B 1.38

Record 3
## LiCoC2O6 (PBE+U)

Data for LiCoC2O6 after structural relaxation.

ΔE to the lowest computed polymorph = 0.054 eV per atom
total moment = 0.200 μB per atom
E (MP2020) = -7.431 eV/atom
theoretical density = 2.2 g/cm3
E_tot = -274.21 eV for the cell shown
formation enthalpy at 0 K = -1.7150 eV per atom

Cell: 7.3992 9.8323 9.0604 Å, 90.00 121.96 90.00°
Last column: nearest neighbours and their distance in Å.
Space group P2_1/c (No. 14)
Inequivalent atoms, fractional coordinates:
1 Li 0.1575 0.1110 0.1632  4 O 1.92-2.08
2 Co 0.0052 0.6400 0.0670  3 O 1.86-1.95
3 C 0.0250 0.1160 0.7753  3 O 1.28-1.31
4 C 0.3974 0.0096 0.6407  3 O 1.24-1.32
5 O 0.0182 0.5140 0.2596  1 C 1.28
6 O 0.0188 0.1647 0.9076  1 C 1.31
7 O 0.0370 0.1996 0.6715  1 C 1.29
8 O 0.2847 0.5936 0.1440  1 C 1.32
9 O 0.2944 0.1187 0.5532  1 C 1.31
10 O 0.4052 0.5028 0.7816  1 C 1.24

Record 4
## LiVPO4 (PBE+U)

Data for LiVPO4 after structural relaxation.

ΔE to the lowest computed polymorph = 0.088 eV per atom
total moment = 0.429 μB per atom
E (MP2020) = -7.726 eV/atom
theoretical density = 3.2 g/cm3
E_tot = -397.07 eV for the cell shown
formation enthalpy at 0 K = -2.5549 eV per atom

Cell: 6.0032 7.6471 14.0089 Å, 90.00 90.00 90.00°
Last column: nearest neighbours and their distance in Å.
Space group Pbca (No. 61)
Inequivalent atoms, fractional coordinates:
1 Li 0.1582 0.1901 0.2248  2 O 1.96-2.14
2 V 0.1071 0.6857 0.5321  5 O 2.11-2.20
3 P 0.1029 0.5517 0.8696  4 O 1.52-1.59
4 O 0.0163 0.6267 0.1357  1 P 1.54
5 O 0.0604 0.1985 0.5910  1 P 1.59
6 O 0.1788 0.6031 0.7700  1 P 1.52
7 O 0.2008 0.0417 0.9450  1 P 1.58

Record 5
## Tm4Mo4O11 (PBE+U)

Data for Tm4Mo4O11 after structural relaxation.

total moment = 0.053 μB per atom
E (MP2020) = -8.840 eV/atom
theoretical density = 8.5 g/cm3
E_tot = -590.35 eV for the cell shown
formation enthalpy at 0 K = -2.7494 eV per atom

Cell: 10.6934 15.8727 5.6853 Å, 90.00 90.00 90.00°
Last column: nearest neighbours and their distance in Å.
Space group Pbam (No. 55)
Inequivalent atoms, fractional coordinates:
1 Tm 0.0754 0.0989 0.0000  7 O 2.22-2.39
2 Tm 0.0960 0.2359 0.5000  5 O 2.24-2.31
3 Tm 0.1141 0.9228 0.5000  5 O 2.21-2.26
4 Tm 0.1844 0.7769 0.0000  7 O 2.26-2.39
5 Mo 0.0843 0.4388 0.5000  4 O 2.06-2.17
6 Mo 0.0965 0.4285 0.0000  4 O 2.11-2.13
7 Mo 0.1369 0.5861 0.2255  5 O 2.07-2.14
8 O 0.0000 0.0000 0.2542  4 Tm 2.22-2.28
9 O 0.0403 0.8279 0.2524  4 Tm 2.21-2.27
10 O 0.0415 0.6680 0.0000  3 Mo 2.09-2.13, 1 Tm 2.31
11 O 0.0478 0.6559 0.5000  3 Mo 2.06-2.14, 1 Tm 2.31
12 O 0.1909 0.3591 0.2625  2 Mo 2.11-2.17
13 O 0.2220 0.1754 0.2353  1 Mo 2.07, 1 Tm 2.24
14 O 0.2344 0.5224 0.5000  3 Mo 2.08-2.13, 1 Tm 2.26
15 O 0.2502 0.0135 0.0000  3 Mo 2.10-2.12, 1 Tm 2.31

Record 6
## Cr3P2O8 (PBE+U)

Data for Cr3P2O8 after structural relaxation.

ΔE to the lowest computed polymorph = 0.000 eV per atom
total moment = 0.923 μB per atom
E (MP2020) = -8.485 eV/atom
theoretical density = 3.5 g/cm3
E_tot = -197.61 eV for the cell shown
formation enthalpy at 0 K = -2.3793 eV per atom

Cell: 4.7263 10.6223 7.9122 Å, 90.00 125.10 90.00°
Last column: nearest neighbours and their distance in Å.
Space group P2_1/c (No. 14)
Inequivalent atoms, fractional coordinates:
1 Cr 0.0000 0.0000 0.0000  4 O 2.05-2.11
2 Cr 0.1810 0.1351 0.5751  4 O 2.03-2.27
3 P 0.3703 0.6786 0.4223  4 O 1.55-1.57
4 O 0.0758 0.6040 0.2330  1 P 1.55
5 O 0.2850 0.6806 0.9219  1 P 1.55
6 O 0.2879 0.1668 0.0620  1 P 1.55
7 O 0.4290 0.6111 0.6169  1 P 1.57

Record 7
## Li2TiCr3O8 (PBE+U)

Data for Li2TiCr3O8 after structural relaxation.

ΔE to the lowest computed polymorph = 0.009 eV per atom
total moment = 0.572 μB per atom
E (MP2020) = -8.292 eV/atom
theoretical density = 3.9 g/cm3
E_tot = -313.79 eV for the cell shown
formation enthalpy at 0 K = -2.5596 eV per atom

Cell: 5.9676 5.9676 14.4243 Å, 90.00 90.00 120.00°
Last column: nearest neighbours and their distance in Å.
Space group R-3m (No. 166, hexagonal axes)
Inequivalent atoms, fractional coordinates:
1 Li 0.0000 0.0000 0.1254  4 O 1.98-2.01
2 Ti 0.0000 0.0000 0.5000  6 O 1.99
3 Cr 0.0000 0.5000 0.0000  6 O 2.00-2.01
4 O 0.0000 0.0000 0.2629  1 Li 1.98, 3 Cr 2.00
5 O 0.0347 0.5174 0.2533  1 Ti 1.99, 2 Cr 2.01, 1 Li 2.01

> Which formula does entry 7 have?

Li2TiCr3O8